Material: Ru3C10I2O9
Method: DFT, PBE
State: relaxed

Output
As for the volume: 1910.2 Å³/cell. Its energy of formation is -16.2 eV per formula unit.

a = 8.4260 Å, b = 9.3748 Å, c = 24.1816 Å
α = 90.00°, β = 90.00°, γ = 90.00°
Closest atoms and distances in Å follow each position.
Sites, in units of the cell vectors:
Ru1 0.7879 0.0568 0.5813  3 C 1.77-1.94
Ru2 0.2121 0.5568 0.4187  3 C 1.77-1.94
Ru3 0.2879 0.5568 0.9187  3 C 1.77-1.94
Ru4 0.7121 0.0568 0.0813  3 C 1.77-1.94
Ru5 0.6421 0.3433 0.5950  3 C 1.89-1.93
Ru6 0.3579 0.8433 0.4050  3 C 1.89-1.93
Ru7 0.1421 0.8433 0.9050  3 C 1.89-1.93
Ru8 0.8579 0.3433 0.0950  3 C 1.89-1.93
Ru9 0.7548 0.1249 0.7011  3 C 1.89-1.93
Ru10 0.2452 0.6249 0.2989  3 C 1.89-1.93
Ru11 0.2548 0.6249 0.7989  3 C 1.89-1.93
Ru12 0.7452 0.1249 0.2011  3 C 1.89-1.93
C1 0.7760 0.0538 0.5014  1 O 1.16
C2 0.2240 0.5538 0.4986  1 O 1.16
C3 0.2760 0.5538 0.9986  1 O 1.16
C4 0.7240 0.0538 0.0014  1 O 1.16
C5 0.8587 0.8616 0.5915  1 O 1.16
C6 0.1413 0.3616 0.4085  1 O 1.16
C7 0.3587 0.3616 0.9085  1 O 1.16
C8 0.6413 0.8616 0.0915  1 O 1.16
C9 0.5413 0.9871 0.5873  1 O 1.15
C10 0.4587 0.4871 0.4127  1 O 1.15
C11 0.0413 0.4871 0.9127  1 O 1.15
C12 0.9587 0.9871 0.0873  1 O 1.15
C13 0.9746 0.1422 0.5858  1 Ru 1.77
C14 0.0254 0.6422 0.4142  1 Ru 1.77
C15 0.4746 0.6422 0.9142  1 Ru 1.77
C16 0.5254 0.1422 0.0858  1 Ru 1.77
C17 0.4922 0.2781 0.5428  1 O 1.16
C18 0.5078 0.7781 0.4572  1 O 1.16
C19 0.9922 0.7781 0.9572  1 O 1.16
C20 0.0078 0.2781 0.0428  1 O 1.16
C21 0.5627 0.5337 0.6060  1 O 1.16
C22 0.4373 0.0337 0.3940  1 O 1.16
C23 0.0627 0.0337 0.8940  1 O 1.16
C24 0.9373 0.5337 0.1060  1 O 1.16
C25 0.7908 0.3866 0.5391  1 O 1.16
C26 0.2092 0.8866 0.4609  1 O 1.16
C27 0.2908 0.8866 0.9609  1 O 1.16
C28 0.7092 0.3866 0.0391  1 O 1.16
C29 0.6709 0.9385 0.7049  1 O 1.16
C30 0.3291 0.4385 0.2951  1 O 1.16
C31 0.1709 0.4385 0.7951  1 O 1.16
C32 0.8291 0.9385 0.2049  1 O 1.16
C33 0.7331 0.1746 0.7784  1 O 1.16
C34 0.2669 0.6746 0.2216  1 O 1.16
C35 0.2331 0.6746 0.7216  1 O 1.16
C36 0.7669 0.1746 0.2784  1 O 1.16
C37 0.9651 0.0556 0.7031  1 O 1.16
C38 0.0349 0.5556 0.2969  1 O 1.16
C39 0.4651 0.5556 0.7969  1 O 1.16
C40 0.5349 0.0556 0.2031  1 O 1.16
I1 0.4502 0.2411 0.6821  2 Ru 2.82-2.83
I2 0.5498 0.7411 0.3179  2 Ru 2.82-2.83
I3 0.9502 0.7411 0.8179  2 Ru 2.82-2.83
I4 0.0498 0.2411 0.1821  2 Ru 2.82-2.83
I5 0.8718 0.3979 0.6760  2 Ru 2.80-2.81
I6 0.1282 0.8979 0.3240  2 Ru 2.80-2.81
I7 0.3718 0.8979 0.8240  2 Ru 2.80-2.81
I8 0.6282 0.3979 0.1760  2 Ru 2.80-2.81
O1 0.7794 0.0493 0.4536  1 C 1.16
O2 0.2206 0.5493 0.5464  1 C 1.16
O3 0.2794 0.5493 0.0464  1 C 1.16
O4 0.7206 0.0493 0.9536  1 C 1.16
O5 0.9058 0.7459 0.5949  1 C 1.16
O6 0.0942 0.2459 0.4051  1 C 1.16
O7 0.4058 0.2459 0.9051  1 C 1.16
O8 0.5942 0.7459 0.0949  1 C 1.16
O9 0.4121 0.9477 0.5866  1 C 1.15
O10 0.5879 0.4477 0.4134  1 C 1.15
O11 0.9121 0.4477 0.9134  1 C 1.15
O12 0.0879 0.9477 0.0866  1 C 1.15
O13 0.4009 0.2411 0.5098  1 C 1.16
O14 0.5991 0.7411 0.4902  1 C 1.16
O15 0.9009 0.7411 0.9902  1 C 1.16
O16 0.0991 0.2411 0.0098  1 C 1.16
O17 0.5208 0.6507 0.6106  1 C 1.16
O18 0.4792 0.1507 0.3894  1 C 1.16
O19 0.0208 0.1507 0.8894  1 C 1.16
O20 0.9792 0.6507 0.1106  1 C 1.16
O21 0.8776 0.4180 0.5040  1 C 1.16
O22 0.1224 0.9180 0.4960  1 C 1.16
O23 0.3776 0.9180 0.9960  1 C 1.16
O24 0.6224 0.4180 0.0040  1 C 1.16
O25 0.6230 0.8227 0.7089  1 C 1.16
O26 0.3770 0.3227 0.2911  1 C 1.16
O27 0.1230 0.3227 0.7911  1 C 1.16
O28 0.8770 0.8227 0.2089  1 C 1.16
O29 0.7203 0.1990 0.8250  1 C 1.16
O30 0.2797 0.6990 0.1750  1 C 1.16
O31 0.2203 0.6990 0.6750  1 C 1.16
O32 0.7797 0.1990 0.3250  1 C 1.16
O33 0.0935 0.0122 0.7065  1 C 1.16
O34 0.9065 0.5122 0.2935  1 C 1.16
O35 0.5935 0.5122 0.7935  1 C 1.16
O36 0.4065 0.0122 0.2065  1 C 1.16